VASP calculation (PBE) on Na14Y4Al4Si7S5O48 after structural relaxation.

The structure in CIF format:
```
data_Na14Y4Al4Si7S5O48
_cell_length_a 9.096
_cell_length_b 15.801
_cell_length_c 22.503
_cell_angle_alpha 89.74
_cell_angle_beta 89.95
_cell_angle_gamma 89.90
_space_group_name_H-M_alt 'P 1'
_space_group_IT_number 1
_space_group_name_Hall 'P 1'
loop_
_atom_site_label
_atom_site_fract_x
_atom_site_fract_y
_atom_site_fract_z
Na1 0.000 0.000 0.000
Na2 0.000 0.344 0.660
Na3 0.013 0.045 0.322
Na4 0.018 0.696 0.664
Na5 0.122 0.198 0.160
Na6 0.126 0.537 0.825
Na7 0.140 0.498 0.503
Na8 0.145 0.842 0.146
Na9 0.146 0.873 0.491
Na10 0.168 0.181 0.490
Na11 0.181 0.849 0.820
Na12 0.186 0.517 0.142
Na13 0.306 0.685 0.733
Na14 0.311 0.030 0.411
Na15 0.320 0.360 0.068
Na16 0.328 0.363 0.578
Na17 0.336 0.688 0.231
Na18 0.338 0.021 0.911
Na19 0.456 0.850 0.318
Na20 0.462 0.510 0.647
Na21 0.468 0.191 0.978
Na22 0.492 0.845 0.652
Na23 0.497 0.497 0.995
Na24 0.509 0.198 0.666
Na25 0.516 0.548 0.324
Na26 0.626 0.051 0.826
Na27 0.630 0.695 0.158
Na28 0.642 0.001 0.501
Na29 0.649 0.345 0.148
Na30 0.672 0.689 0.485
Na31 0.679 0.015 0.141
Na32 0.702 0.349 0.817
Na33 0.803 0.518 0.413
Na34 0.813 0.861 0.074
Na35 0.816 0.198 0.738
Na36 0.820 0.860 0.573
Na37 0.834 0.189 0.231
Na38 0.837 0.521 0.904
Na39 0.953 0.018 0.646
Na40 0.960 0.348 0.320
Na41 0.970 0.680 0.985
Na42 0.998 0.374 0.978
Y1 0.305 0.685 0.888
Y2 0.312 0.018 0.252
Y3 0.321 0.350 0.431
Y4 0.326 0.008 0.057
Y5 0.327 0.026 0.752
Y6 0.330 0.692 0.387
Y7 0.812 0.507 0.559
Y8 0.813 0.525 0.252
Y9 0.818 0.851 0.931
Y10 0.819 0.195 0.884
Y11 0.834 0.186 0.389
Y12 0.836 0.514 0.755
Al1 0.305 0.354 0.214
Al2 0.320 0.000 0.557
Al3 0.322 0.353 0.923
Al4 0.323 0.683 0.087
Al5 0.324 0.354 0.724
Al6 0.329 0.688 0.590
Al7 0.806 0.852 0.430
Al8 0.807 0.853 0.220
Al9 0.817 0.183 0.588
Al10 0.817 0.189 0.088
Al11 0.819 0.498 0.056
Al12 0.836 0.855 0.715
Si1 0.051 0.350 0.821
Si2 0.143 0.522 0.654
Si3 0.162 0.535 0.993
Si4 0.172 0.866 0.654
Si5 0.177 0.830 0.992
Si6 0.182 0.208 0.318
Si7 0.450 0.213 0.824
Si8 0.466 0.544 0.492
Si9 0.469 0.837 0.492
Si10 0.476 0.858 0.160
Si11 0.515 0.519 0.154
Si12 0.625 0.020 0.653
Si13 0.659 0.357 0.659
Si14 0.667 0.336 0.992
Si15 0.677 0.046 0.991
Si16 0.692 0.715 0.324
Si17 0.960 0.709 0.817
Si18 0.962 0.330 0.492
Si19 0.968 0.365 0.155
Si20 0.976 0.033 0.490
Si21 0.998 0.019 0.157
S1 0.023 0.692 0.490
S2 0.093 0.852 0.322
S3 0.114 0.190 0.993
S4 0.165 0.168 0.648
S5 0.179 0.497 0.317
S6 0.462 0.492 0.823
S7 0.473 0.177 0.156
S8 0.528 0.179 0.495
S9 0.533 0.852 0.816
S10 0.607 0.352 0.316
S11 0.612 0.679 0.996
S12 0.667 0.676 0.656
S13 0.680 0.990 0.324
S14 0.961 0.995 0.816
S15 0.975 0.672 0.152
O1 0.002 0.176 0.641
O2 0.003 0.859 0.377
O3 0.004 0.852 0.267
O4 0.017 0.200 0.046
O5 0.017 0.503 0.314
O6 0.027 0.174 0.939
O7 0.036 0.548 0.710
O8 0.037 0.501 0.598
O9 0.102 0.044 0.214
O10 0.104 0.995 0.101
O11 0.111 0.678 0.436
O12 0.118 0.704 0.543
O13 0.123 0.001 0.813
O14 0.137 0.680 0.145
O15 0.144 0.332 0.496
O16 0.144 0.701 0.814
O17 0.147 0.353 0.760
O18 0.149 0.361 0.883
O19 0.150 0.357 0.161
O20 0.157 0.025 0.502
O21 0.173 0.590 0.931
O22 0.184 0.116 0.703
O23 0.189 0.776 0.322
O24 0.192 0.929 0.322
O25 0.200 0.933 0.600
O26 0.203 0.269 0.989
O27 0.212 0.451 0.373
O28 0.214 0.116 0.000
O29 0.228 0.270 0.261
O30 0.228 0.930 0.991
O31 0.229 0.249 0.381
O32 0.231 0.252 0.654
O33 0.231 0.769 0.047
O34 0.234 0.796 0.928
O35 0.237 0.124 0.597
O36 0.240 0.452 0.264
O37 0.243 0.441 0.985
O38 0.244 0.436 0.666
O39 0.244 0.772 0.641
O40 0.246 0.583 0.317
O41 0.246 0.587 0.047
O42 0.246 0.607 0.644
O43 0.247 0.110 0.318
O44 0.250 0.902 0.714
O45 0.386 0.452 0.494
O46 0.388 0.114 0.825
O47 0.389 0.806 0.431
O48 0.392 0.577 0.824
O49 0.393 0.893 0.220
O50 0.395 0.601 0.545
O51 0.397 0.767 0.145
O52 0.400 0.141 0.103
O53 0.401 0.933 0.501
O54 0.404 0.262 0.886
O55 0.406 0.450 0.769
O56 0.406 0.601 0.141
O57 0.407 0.266 0.764
O58 0.409 0.263 0.165
O59 0.414 0.432 0.163
O60 0.426 0.445 0.879
O61 0.428 0.104 0.500
O62 0.433 0.928 0.816
O63 0.434 0.256 0.493
O64 0.434 0.588 0.426
O65 0.435 0.772 0.547
O66 0.441 0.774 0.817
O67 0.449 0.120 0.207
O68 0.464 0.932 0.110
O69 0.480 0.346 0.669
O70 0.486 0.345 0.984
O71 0.497 0.045 0.994
O72 0.500 0.001 0.600
O73 0.505 0.686 0.650
O74 0.507 0.707 0.320
O75 0.515 0.351 0.263
O76 0.515 0.688 0.048
O77 0.517 0.996 0.322
O78 0.520 0.361 0.371
O79 0.526 0.668 0.941
O80 0.537 0.046 0.713
O81 0.600 0.547 0.215
O82 0.613 0.167 0.440
O83 0.620 0.861 0.871
O84 0.624 0.186 0.547
O85 0.624 0.499 0.821
O86 0.626 0.851 0.762
O87 0.633 0.203 0.820
O88 0.635 0.185 0.150
O89 0.642 0.502 0.102
O90 0.645 0.544 0.494
O91 0.651 0.846 0.485
O92 0.655 0.846 0.167
O93 0.666 0.429 0.606
O94 0.691 0.618 0.706
O95 0.700 0.274 0.318
O96 0.703 0.273 0.049
O97 0.705 0.756 0.994
O98 0.707 0.428 0.317
O99 0.710 0.604 0.002
O100 0.713 0.089 0.927
O101 0.720 0.943 0.379
O102 0.726 0.931 0.663
O103 0.732 0.762 0.664
O104 0.735 0.100 0.640
O105 0.737 0.432 0.001
O106 0.737 0.948 0.269
O107 0.738 0.642 0.601
O108 0.740 0.266 0.644
O109 0.740 0.770 0.266
O110 0.741 0.765 0.385
O111 0.745 0.076 0.324
O112 0.747 0.100 0.047
O113 0.747 0.395 0.716
O114 0.752 0.305 0.933
O115 0.752 0.616 0.325
O116 0.754 0.952 0.995
O117 0.888 0.082 0.543
O118 0.892 0.401 0.216
O119 0.892 0.614 0.818
O120 0.893 0.080 0.817
O121 0.896 0.105 0.146
O122 0.897 0.271 0.142
O123 0.898 0.937 0.480
O124 0.899 0.933 0.171
O125 0.900 0.632 0.101
O126 0.901 0.951 0.763
O127 0.908 0.297 0.426
O128 0.909 0.265 0.544
O129 0.910 0.430 0.491
O130 0.912 0.759 0.160
O131 0.914 0.751 0.881
O132 0.914 0.772 0.761
O133 0.923 0.619 0.497
O134 0.929 0.949 0.872
O135 0.933 0.772 0.484
O136 0.938 0.434 0.102
O137 0.939 0.435 0.824
O138 0.942 0.268 0.818
O139 0.954 0.619 0.206
O140 0.965 0.087 0.428
O141 0.981 0.527 0.005
O142 0.990 0.858 0.660
O143 0.995 0.832 0.997
O144 0.998 0.199 0.314
```

Results
**Formation energy**: -225.7 eV/f.u.
**VASP energy**: -1644.75 eV for the cell shown